[1]
! PBE-GGA K3Al2P3O12, optimized geometry; values from VASP
&SYSTEM
  ibrav = 0, nat = 80, ntyp = 4
/
ATOMIC_SPECIES
O 16.00 O.upf
Al 26.98 Al.upf
P 30.97 P.upf
K 39.10 K.upf
CELL_PARAMETERS angstrom
8.5800 0.0000 0.0000
0.0000 8.8142 0.0000
0.0000 0.0000 17.1391
ATOMIC_POSITIONS angstrom
O 4.5985 2.3224 8.1763
O 5.1987 8.0700 12.1127
O 6.5438 6.9859 9.8589
O 3.5513 1.9017 14.5056
O 7.7039 0.3249 11.3817
O 7.9821 6.3165 5.1293
O 3.6921 6.9048 13.6988
O 3.4139 4.0822 2.8121
O 0.9087 0.7442 5.0264
O 2.8374 1.1473 9.6048
O 3.2683 2.4224 4.7097
O 2.7356 4.1395 13.6365
O 7.7039 4.7320 14.3270
O 7.0256 4.6747 3.5026
O 7.1274 7.6669 7.5343
O 4.5985 6.7295 0.3933
O 7.9821 1.9094 3.4403
O 0.9967 1.9100 11.8320
O 7.4319 7.2132 14.8634
O 7.0256 0.2676 5.0669
O 7.8413 6.9125 2.6335
O 0.3085 2.0847 16.7459
O 2.5564 8.0280 16.6671
O 6.8464 5.1934 8.0975
O 0.3085 6.4918 8.9628
O 7.1274 3.2598 1.0352
O 0.9967 6.3171 13.8767
O 3.5513 6.3089 11.2031
O 2.2538 6.2354 1.2893
O 6.5438 2.5788 15.8498
O 7.8413 2.5054 5.9360
O 6.8464 0.7863 0.4720
O 3.4139 8.4893 5.7575
O 3.1419 6.0081 6.2939
O 3.2683 6.8295 3.8598
O 7.5583 6.3918 12.4294
O 7.5583 1.9847 13.2793
O 5.2867 2.4971 3.2625
O 3.1419 1.6010 2.2757
O 5.1987 3.6629 13.5960
O 2.7356 8.5466 12.0722
O 2.8374 5.5544 16.1039
O 2.5564 3.6208 9.0416
O 3.6921 2.4977 12.0099
O 0.9087 5.1513 3.5432
O 2.2538 1.8283 7.2803
O 7.4319 2.8061 10.8453
O 5.2867 6.9042 5.3071
Al 2.4857 1.1622 5.6809
Al 2.4857 5.5694 2.8887
Al 2.5729 1.3130 11.3302
Al 2.5729 5.7201 14.3785
Al 6.8629 3.0941 2.7606
Al 6.7757 7.6520 11.4583
Al 6.7757 3.2449 14.2504
Al 6.8629 7.5013 5.8089
P 7.4065 6.5125 8.6126
P 3.1165 6.7088 0.0430
P 3.7914 2.9962 13.4925
P 3.7303 2.6131 3.2239
P 8.0814 5.8180 3.6466
P 3.7914 7.4033 12.2162
P 8.0814 1.4109 4.9229
P 7.4065 2.1054 17.0961
P 3.7303 7.0202 5.3456
P 8.0203 6.2011 13.9152
P 8.0203 1.7940 11.7935
P 3.1165 2.3017 8.5266
K 7.1223 5.9334 0.1499
K 0.9265 4.5227 6.8559
K 0.9265 0.1156 1.7136
K 1.1305 0.3827 14.7217
K 5.2164 4.2915 10.2832
K 7.1223 1.5263 8.4197
K 1.1305 4.7898 10.9870
K 5.4205 8.4315 2.4174
K 2.8323 7.2880 8.7194
K 5.4205 4.0244 6.1521
K 5.2164 8.6987 15.4255
K 2.8323 2.8809 16.9893
! Space group ... Pna2_1 (33)
! Energy with MP2020 corrections ... -7.26 eV/atom
! ΔH_f (0 K) ... -2941 meV/atom

***

[2]
! PBE-GGA K3AlP2O8, optimized geometry; values from VASP
&SYSTEM
  ibrav = 0, nat = 168, ntyp = 4
/
ATOMIC_SPECIES
O 16.00 O.upf
Al 26.98 Al.upf
K 39.10 K.upf
P 30.97 P.upf
CELL_PARAMETERS angstrom
-2.4877 -9.6361 0.3840
13.0165 -3.2507 2.7508
-7.3216 2.6483 19.0226
ATOMIC_POSITIONS angstrom
O -5.6809 -7.4724 12.7852
O 5.6090 -10.2279 11.3938
O 5.0556 -6.9025 6.6017
O 7.9606 -1.9436 13.1291
O 8.3344 -7.7679 8.4270
O 1.7681 -2.9699 14.0031
O 8.5042 -4.9395 8.2682
O 6.8303 -3.0295 7.9258
O -2.8381 -5.0533 20.3146
O -0.7006 -6.6539 12.2420
O 1.2369 -2.9487 20.9058
O -2.8903 -5.7558 7.0059
O 0.0432 -1.0992 13.7060
O 0.0806 -1.4542 0.3835
O 1.4390 -7.2686 8.1543
O 9.1540 -2.9194 6.8440
O 3.3642 -6.9784 15.5331
O -0.1571 -3.2602 6.6243
O 0.9455 -9.2402 9.7269
O -0.1675 -5.7685 9.9055
O -0.2857 -0.0476 9.3874
O 10.3324 -6.5806 6.7560
O 4.8472 -0.9220 19.2078
O -0.1614 -7.8541 4.3425
O 8.7723 -12.3470 4.4024
O 0.4075 -4.3654 11.9150
O -5.0506 -2.4875 11.1792
O 1.8026 -4.5601 5.5987
O -5.2970 -5.2991 13.8893
O 5.6155 -9.0236 13.6471
O 3.1266 -8.7843 21.7739
O 3.0928 -8.4625 3.2392
O 1.9702 -7.2899 1.2516
O -7.1253 -3.6580 15.4014
O 3.3685 -2.3845 17.8149
O 3.9078 -3.5846 9.9154
O -6.4291 -0.2872 17.5483
O 3.9189 -5.9927 19.4475
O -2.3516 -8.7592 5.3651
O 3.4905 -5.9708 2.8377
O -3.6232 -7.2090 14.2316
O 10.4246 -6.2187 4.2189
O 2.2377 -2.3777 6.8554
O 0.1144 -1.7761 18.9182
O -5.9468 -7.3192 15.3134
O 5.2713 -4.2063 4.4352
O -4.7534 -8.2949 9.0283
O 5.2182 -5.5634 10.9178
O 2.2617 -0.9984 12.4305
O -1.2516 -7.7463 19.3977
O 0.9695 -7.8609 15.3020
O -7.2174 -4.0198 17.9385
O 8.8880 -2.7661 9.3722
O -2.4019 -0.0107 10.7636
O 4.6019 -1.9428 5.2606
O 3.4929 -10.1910 12.7700
O 1.1233 -9.5229 17.6967
O 7.7065 -9.8266 9.5668
O -0.7117 -4.2459 2.7099
O -2.4083 -1.2150 8.5103
O 6.7459 -2.1938 3.9388
O -5.5651 2.1084 17.7550
O -5.1272 -2.4706 13.7304
O 1.5444 -4.3766 8.1258
O 5.5587 -1.4794 16.7923
O 1.4046 -5.6785 16.5587
O 9.6362 -9.9514 4.6091
O 3.1640 -9.1393 8.4514
O 7.5201 -6.4935 6.0015
O -2.6941 -3.2982 17.9918
O -1.8484 -3.3361 15.5557
O 6.5153 -8.8268 5.6919
O 1.6627 -5.8620 14.0316
O 4.4588 -2.4923 2.7597
O 8.2577 -7.7511 10.9782
O 0.9716 -9.4529 7.1836
O -2.0641 -6.0323 17.7222
O -4.3129 -3.7451 16.1559
O -4.8416 0.3413 19.4641
O -3.5387 -8.0448 18.2186
O 2.0838 -0.7157 4.4607
O 5.9012 -6.9404 4.1656
O -3.3082 -1.4118 16.4655
O -1.6400 -9.3166 2.9496
O -1.0200 -1.7407 3.0263
O 6.0452 -5.1853 1.8428
O 2.2356 -0.7857 14.9738
O 8.0487 -10.5799 2.6933
O -2.0110 -4.6752 11.2396
O 2.7996 -5.8732 10.2424
O 3.3747 -4.4701 12.2519
O -4.4993 -0.4120 12.5906
O 6.0975 -4.4828 15.1515
O -1.3947 -8.2958 16.8968
O -0.2834 -4.2678 19.3197
O 4.2272 -8.4979 19.1311
Al 1.7794 -4.4345 13.0208
Al 3.6794 -9.6560 20.3500
Al -5.4617 -3.8017 14.8169
Al -3.8005 0.7867 11.5021
Al 8.6688 -6.4369 7.3405
Al -0.4722 -0.5825 1.8075
Al 1.4278 -5.8041 9.1366
Al -1.9603 -4.6664 18.8405
Al 3.0877 -1.2204 5.8220
Al 7.0077 -11.0253 10.6553
Al 0.1195 -9.0182 16.3354
Al 5.1675 -5.5722 3.3169
K 7.9156 -5.0486 11.2045
K 2.3557 -7.2106 5.4819
K -0.6918 -6.7192 1.5889
K -1.0473 -5.4168 5.1059
K 2.1600 -0.3877 19.8756
K -5.2914 -2.4155 18.6458
K -1.4071 -5.9504 14.9622
K 4.8460 -2.3097 14.1164
K -1.6388 -7.9289 8.0410
K 5.4495 -9.7658 3.0209
K -4.7084 -5.1900 10.9529
K 8.6228 -4.1228 4.4116
K -5.4156 -6.1158 17.7458
K 5.3297 -7.7715 9.3453
K 8.4985 -7.8231 3.5116
K -1.5023 -1.1457 5.7593
K -1.3694 0.2289 15.5396
K 1.3753 -8.4596 12.3938
K 1.0472 -9.8509 2.2818
K 4.6143 -4.2882 7.1952
K -2.4207 -8.6455 12.2795
K 4.7095 -9.0929 16.3981
K 5.0733 -6.4523 13.5027
K 0.8515 -3.0280 16.6755
K -1.8662 -3.7863 8.6547
K 4.2545 -4.8217 17.0515
K 8.4292 -10.5197 6.9244
K 3.8989 -3.5194 20.5685
K 1.8725 -3.4352 3.0736
K 1.3347 -6.8034 19.0838
K 5.6279 -1.5931 9.8780
K 1.8318 -1.7790 9.7636
K -5.2220 0.2811 15.2330
K -2.1225 -2.4670 12.8121
K 4.5766 -10.4675 6.6178
K -2.2424 -0.4728 19.1365
P 1.3031 -3.6668 6.7271
P 3.1900 -7.3960 2.1559
P -0.6803 -5.4071 11.3727
P 9.1850 -11.0094 3.6105
P -2.0925 -7.5738 18.1419
P 3.8874 -4.8315 10.7847
P -5.4613 -1.6721 12.3975
P 5.0139 -10.1859 12.8738
P 8.3068 -3.3730 8.0260
P 5.2996 -2.6648 4.0155
P -5.9778 0.7708 18.5469
P 4.3730 -1.2416 17.7137
P 1.6756 -8.8184 8.4594
P -2.9834 -2.9017 16.4693
P 1.9040 -6.5718 15.4303
P -1.8067 -0.0527 9.2836
P 0.0172 -2.8426 20.0016
P 6.1906 -7.3369 5.6881
P 8.6685 -8.5665 9.7600
P -5.0996 -6.8655 14.1314
P -1.7484 -3.1302 2.7235
P 1.5316 -1.4202 13.6980
P 4.9555 -7.1084 19.4339
P -1.1658 -8.9970 4.4437
! Space group ... P2_1/c (14)
! Energy with MP2020 corrections ... -6.95 eV/atom
! ΔH_f (0 K) ... -2842 meV/atom

***

[3]
! PBE-GGA K2TiAlP3O12, optimized geometry; values from VASP
&SYSTEM
  ibrav = 0, nat = 76, ntyp = 5
/
ATOMIC_SPECIES
O 16.00 O.upf
K 39.10 K.upf
Al 26.98 Al.upf
P 30.97 P.upf
Ti 47.87 Ti.upf
CELL_PARAMETERS angstrom
9.8436 0.0000 0.0000
0.0000 9.8436 0.0000
0.0000 0.0000 9.8436
ATOMIC_POSITIONS angstrom
O 0.5294 2.6750 5.0182
O 0.5323 6.6016 4.7521
O 2.2468 4.8254 5.4512
O 2.4625 5.9296 3.2422
O 7.2021 5.4111 2.9103
O 5.4111 2.9103 7.2021
O 2.9103 7.2021 5.4111
O 1.0078 1.6796 7.3810
O 9.3113 1.6798 0.1697
O 5.0915 5.4541 8.1638
O 3.9140 8.1640 2.4593
O 8.1640 2.4593 3.9140
O 0.1697 9.3113 1.6798
O 6.6016 4.7521 0.5323
O 5.9296 3.2422 2.4625
O 0.4893 2.0115 2.6415
O 4.4325 7.8321 7.5633
O 6.9333 2.2803 9.3543
O 8.8358 6.6014 7.3843
O 4.8254 5.4512 2.2468
O 2.6750 5.0182 0.5294
O 1.6798 0.1697 9.3113
O 7.8321 7.5633 4.4325
O 7.3843 8.8358 6.6014
O 3.2420 9.6739 4.3895
O 7.5968 9.7472 9.3141
O 7.3810 1.0078 1.6796
O 4.3895 3.2420 9.6739
O 9.3141 7.5968 9.7472
O 4.3923 7.1686 0.0964
O 9.7472 9.3141 7.5968
O 1.6796 7.3810 1.0078
O 8.1638 5.0915 5.4541
O 2.2803 9.3543 6.9333
O 7.1686 0.0964 4.3923
O 2.0115 2.6415 0.4893
O 9.3543 6.9333 2.2803
O 5.4541 8.1638 5.0915
O 5.0182 0.5294 2.6750
O 9.6739 4.3895 3.2420
O 7.5633 4.4325 7.8321
O 5.4512 2.2468 4.8254
O 6.6014 7.3843 8.8358
O 4.7521 0.5323 6.6016
O 3.2422 2.4625 5.9296
O 2.6415 0.4893 2.0115
O 2.4593 3.9140 8.1640
O 0.0964 4.3923 7.1686
K 3.1393 3.1393 3.1393
K 0.3969 9.4467 4.5249
K 9.4467 4.5249 0.3969
K 6.7043 8.0611 1.7825
K 8.0611 1.7825 6.7043
K 1.7825 6.7043 8.0611
K 5.3187 5.3187 5.3187
K 4.5249 0.3969 9.4467
Al 3.8579 8.7797 5.9857
Al 1.0639 1.0639 1.0639
Al 8.7797 5.9857 3.8579
Al 5.9857 3.8579 8.7797
P 4.7114 2.0074 6.1817
P 9.6332 2.9144 3.6619
P 2.0074 6.1817 4.7114
P 7.8362 1.2599 0.2104
P 6.1817 4.7114 2.0074
P 2.9144 3.6619 9.6332
P 3.6619 9.6332 2.9144
P 1.2599 0.2104 7.8362
P 6.9292 8.5837 5.1322
P 5.1322 6.9292 8.5837
P 8.5837 5.1322 6.9292
P 0.2104 7.8362 1.2599
Ti 3.3100 6.5336 1.6118
Ti 1.6118 3.3100 6.5336
Ti 6.5336 1.6118 3.3100
Ti 8.2317 8.2317 8.2317
! Space group ... P2_13 (198)
! Energy with MP2020 corrections ... -7.70 eV/atom
! ΔH_f (0 K) ... -2988 meV/atom

***

[4]
! PBE-GGA KAlS2O20, optimized geometry; values from VASP
&SYSTEM
  ibrav = 0, nat = 96, ntyp = 4
/
ATOMIC_SPECIES
S 32.06 S.upf
O 16.00 O.upf
Al 26.98 Al.upf
K 39.10 K.upf
CELL_PARAMETERS angstrom
11.5877 0.0000 0.0000
0.0000 11.5877 0.0000
0.0000 0.0000 11.5877
ATOMIC_POSITIONS angstrom
S 2.2311 3.5627 8.0250
S 9.3566 9.3566 9.3566
S 3.5627 9.3566 8.0250
S 3.5627 8.0250 2.2311
S 8.0250 2.2311 3.5627
S 9.3566 8.0250 3.5627
S 2.2311 2.2311 2.2311
S 8.0250 3.5627 9.3566
O 7.7059 5.5330 5.9961
O 8.4720 0.7975 3.6017
O 8.9096 10.7902 9.3955
O 0.2022 9.6756 6.0547
O 8.4403 6.1885 6.7993
O 9.6756 11.3268 5.9961
O 6.1885 10.5823 2.6464
O 2.7255 8.8622 3.0684
O 8.9413 0.3946 6.7993
O 9.3955 8.4720 4.9964
O 3.6017 8.9096 6.5913
O 8.8622 3.0684 2.7255
O 5.9961 7.7059 5.5330
O 4.7884 3.1474 5.3992
O 11.1931 4.7884 2.6464
O 1.0054 8.4403 11.1931
O 5.5916 1.9121 0.2609
O 11.3268 11.3855 3.8818
O 7.7059 0.2609 0.2022
O 0.3946 10.5823 3.1474
O 11.3855 1.9121 5.5330
O 6.0547 5.5916 3.8818
O 10.5823 3.1474 0.3946
O 2.6781 4.9964 7.9860
O 11.3268 5.9961 9.6756
O 3.0684 2.7255 8.8622
O 5.5330 5.9961 7.7059
O 8.9096 6.5913 3.6017
O 9.3955 8.9096 10.7902
O 3.1157 10.7902 7.9860
O 8.5193 8.5193 8.5193
O 2.6464 11.1931 4.7884
O 2.6781 0.7975 2.1922
O 6.1885 6.7993 8.4403
O 5.5330 11.3855 1.9121
O 3.0684 3.0684 3.0684
O 8.4403 11.1931 1.0054
O 1.0054 8.9413 5.3992
O 2.1922 2.6781 0.7975
O 6.7993 8.4403 6.1885
O 5.5916 3.8818 6.0547
O 10.7902 7.9860 3.1157
O 0.7975 2.1922 2.6781
O 3.1474 0.3946 10.5823
O 3.8818 6.0547 5.5916
O 7.9860 3.1157 10.7902
O 8.8622 2.7255 8.5193
O 6.5913 2.1922 3.1157
O 2.1922 3.1157 6.5913
O 11.1931 1.0054 8.4403
O 2.6464 6.1885 10.5823
O 4.9964 7.9860 2.6781
O 4.9964 9.3955 8.4720
O 6.0547 0.2022 9.6756
O 6.7993 8.9413 0.3946
O 3.6017 8.4720 0.7975
O 4.7884 2.6464 11.1931
O 6.5913 3.6017 8.9096
O 7.9860 2.6781 4.9964
O 8.5193 8.8622 2.7255
O 3.8818 11.3268 11.3855
O 8.9413 5.3992 1.0054
O 5.3992 1.0054 8.9413
O 10.5823 2.6464 6.1885
O 3.1157 6.5913 2.1922
O 0.3946 6.7993 8.9413
O 3.1474 5.3992 4.7884
O 11.3855 3.8818 11.3268
O 1.9121 5.5330 11.3855
O 0.2609 0.2022 7.7059
O 2.7255 8.5193 8.8622
O 5.3992 4.7884 3.1474
O 5.9961 9.6756 11.3268
O 9.6756 6.0547 0.2022
O 1.9121 0.2609 5.5916
O 0.2022 7.7059 0.2609
O 10.7902 9.3955 8.9096
O 0.2609 5.5916 1.9121
O 0.7975 3.6017 8.4720
O 8.4720 4.9964 9.3955
Al 5.7938 5.7938 5.7938
Al 0.0000 0.0000 5.7938
Al 5.7938 0.0000 0.0000
Al 0.0000 5.7938 0.0000
K 5.7938 0.0000 5.7938
K 0.0000 0.0000 0.0000
K 0.0000 5.7938 5.7938
K 5.7938 5.7938 0.0000
! Space group ... Pa-3 (205)
! Energy with MP2020 corrections ... -5.29 eV/atom
! Excess energy over the best structure of this formula in the dataset ... 0.00 eV/f.u.
! ΔH_f (0 K) ... -624 meV/atom

***

[5]
! PBE-GGA KAl3S2O14, optimized geometry; values from VASP
&SYSTEM
  ibrav = 0, nat = 20, ntyp = 4
/
ATOMIC_SPECIES
Al 26.98 Al.upf
O 16.00 O.upf
S 32.06 S.upf
K 39.10 K.upf
CELL_PARAMETERS angstrom
6.5450 -3.5010 0.0000
6.5450 3.5010 0.0000
4.6723 0.0000 5.7675
ATOMIC_POSITIONS angstrom
Al 3.2725 1.7505 0.0000
Al 2.3361 0.0000 2.8837
Al 3.2725 -1.7505 0.0000
O 8.9155 2.3044 4.2937
O 5.0016 -1.2183 0.8845
O 6.6741 0.0000 2.1671
O 8.8468 -2.3044 1.4738
O 4.3499 0.0000 2.8915
O 13.4124 0.0000 2.8759
O 11.0881 0.0000 3.6004
O 12.7607 1.2183 4.8830
O 5.0016 1.2183 0.8845
O 8.9155 -2.3044 4.2937
O 7.6141 0.0000 5.2700
O 8.8468 2.3044 1.4738
O 10.1481 0.0000 0.4975
O 12.7607 -1.2183 4.8830
S 12.4518 0.0000 4.0431
S 5.3105 0.0000 1.7243
K 0.0000 0.0000 0.0000
! Space group ... R-3m (166)
! Energy with MP2020 corrections ... -6.50 eV/atom
! ΔH_f (0 K) ... -2001 meV/atom